# Na2Ti3Zn5S12O48 | the Materials Project database | PBE-GGA | optimized geometry
data_Na2Ti3Zn5S12O48
_symmetry_space_group_name_H-M 'P 1'
_symmetry_Int_Tables_number 1
_symmetry_space_group_name_Hall 'P 1'
_cell_length_a 8.646
_cell_length_b 14.974
_cell_length_c 22.410
_cell_angle_alpha 89.98
_cell_angle_beta 89.92
_cell_angle_gamma 89.96
loop_
_atom_site_label
_atom_site_type_symbol
_atom_site_fract_x
_atom_site_fract_y
_atom_site_fract_z
Na1 Na 0.000 0.000 0.000
Na2 Na 0.001 0.003 0.493
Na3 Na 0.001 0.669 0.162
Na4 Na 0.500 0.170 0.660
Na5 Na 0.502 0.500 0.494
Na6 Na 0.503 0.503 0.995
Ti1 Ti 0.000 0.337 0.184
Ti2 Ti 0.001 0.004 0.848
Ti3 Ti 0.001 0.667 0.513
Ti4 Ti 0.003 0.336 0.680
Ti5 Ti 0.499 0.834 0.680
Ti6 Ti 0.501 0.168 0.311
Ti7 Ti 0.502 0.834 0.183
Ti8 Ti 0.504 0.170 0.018
Ti9 Ti 0.999 0.664 0.809
Zn1 Zn 0.000 0.002 0.146
Zn2 Zn 0.000 0.669 0.015
Zn3 Zn 0.001 0.001 0.643
Zn4 Zn 0.001 0.339 0.974
Zn5 Zn 0.001 0.669 0.311
Zn6 Zn 0.002 0.000 0.344
Zn7 Zn 0.002 0.332 0.471
Zn8 Zn 0.500 0.499 0.844
Zn9 Zn 0.500 0.504 0.345
Zn10 Zn 0.500 0.838 0.472
Zn11 Zn 0.501 0.171 0.811
Zn12 Zn 0.501 0.503 0.645
Zn13 Zn 0.502 0.169 0.513
Zn14 Zn 0.503 0.501 0.145
Zn15 Zn 0.504 0.832 0.974
S1 S 0.146 0.189 0.578
S2 S 0.146 0.814 0.910
S3 S 0.147 0.480 0.576
S4 S 0.148 0.854 0.243
S5 S 0.149 0.149 0.244
S6 S 0.149 0.524 0.912
S7 S 0.207 0.503 0.243
S8 S 0.211 0.168 0.911
S9 S 0.211 0.835 0.576
S10 S 0.290 0.336 0.076
S11 S 0.293 0.002 0.743
S12 S 0.293 0.668 0.411
S13 S 0.353 0.023 0.412
S14 S 0.353 0.649 0.745
S15 S 0.354 0.354 0.743
S16 S 0.355 0.980 0.076
S17 S 0.357 0.689 0.078
S18 S 0.358 0.315 0.412
S19 S 0.646 0.023 0.911
S20 S 0.646 0.313 0.912
S21 S 0.646 0.690 0.577
S22 S 0.646 0.980 0.578
S23 S 0.647 0.354 0.245
S24 S 0.649 0.648 0.244
S25 S 0.706 0.002 0.245
S26 S 0.710 0.667 0.912
S27 S 0.711 0.336 0.578
S28 S 0.792 0.166 0.412
S29 S 0.792 0.836 0.078
S30 S 0.795 0.501 0.745
S31 S 0.855 0.148 0.743
S32 S 0.855 0.480 0.079
S33 S 0.855 0.523 0.411
S34 S 0.855 0.856 0.745
S35 S 0.856 0.814 0.412
S36 S 0.858 0.190 0.077
O1 O 0.069 0.569 0.570
O2 O 0.070 0.781 0.964
O3 O 0.072 0.113 0.297
O4 O 0.072 0.437 0.914
O5 O 0.072 0.906 0.898
O6 O 0.075 0.100 0.585
O7 O 0.077 0.437 0.631
O8 O 0.077 0.894 0.190
O9 O 0.081 0.240 0.232
O10 O 0.081 0.572 0.857
O11 O 0.082 0.230 0.524
O12 O 0.086 0.763 0.249
O13 O 0.102 0.579 0.249
O14 O 0.106 0.419 0.232
O15 O 0.107 0.247 0.632
O16 O 0.109 0.243 0.920
O17 O 0.109 0.912 0.585
O18 O 0.110 0.758 0.857
O19 O 0.112 0.083 0.904
O20 O 0.117 0.752 0.571
O21 O 0.121 0.425 0.524
O22 O 0.123 0.579 0.965
O23 O 0.130 0.908 0.297
O24 O 0.133 0.094 0.191
O25 O 0.181 0.346 0.732
O26 O 0.184 0.656 0.466
O27 O 0.184 0.663 0.756
O28 O 0.185 0.015 0.404
O29 O 0.186 0.684 0.076
O30 O 0.188 0.995 0.083
O31 O 0.189 0.319 0.414
O32 O 0.191 0.988 0.798
O33 O 0.193 0.320 0.130
O34 O 0.198 0.350 0.023
O35 O 0.199 0.016 0.690
O36 O 0.200 0.680 0.358
O37 O 0.297 0.484 0.296
O38 O 0.301 0.180 0.857
O39 O 0.301 0.516 0.189
O40 O 0.306 0.850 0.524
O41 O 0.310 0.150 0.965
O42 O 0.312 0.822 0.631
O43 O 0.312 0.825 0.914
O44 O 0.314 0.493 0.584
O45 O 0.316 0.184 0.577
O46 O 0.317 0.515 0.904
O47 O 0.318 0.163 0.255
O48 O 0.322 0.846 0.232
O49 O 0.369 0.594 0.691
O50 O 0.372 0.407 0.797
O51 O 0.377 0.078 0.466
O52 O 0.380 0.926 0.022
O53 O 0.385 0.586 0.410
O54 O 0.387 0.251 0.069
O55 O 0.387 0.747 0.421
O56 O 0.387 0.918 0.736
O57 O 0.395 0.078 0.752
O58 O 0.395 0.412 0.084
O59 O 0.395 0.747 0.131
O60 O 0.397 0.257 0.358
O61 O 0.417 0.263 0.748
O62 O 0.420 0.072 0.358
O63 O 0.420 0.729 0.023
O64 O 0.421 0.740 0.733
O65 O 0.426 0.394 0.690
O66 O 0.426 0.600 0.085
O67 O 0.426 0.940 0.130
O68 O 0.427 0.276 0.466
O69 O 0.429 0.403 0.403
O70 O 0.430 0.613 0.797
O71 O 0.431 0.937 0.414
O72 O 0.433 0.070 0.067
O73 O 0.568 0.401 0.911
O74 O 0.569 0.067 0.578
O75 O 0.572 0.264 0.966
O76 O 0.574 0.390 0.191
O77 O 0.575 0.740 0.233
O78 O 0.576 0.731 0.525
O79 O 0.577 0.612 0.297
O80 O 0.579 0.931 0.633
O81 O 0.581 0.600 0.585
O82 O 0.582 0.063 0.857
O83 O 0.583 0.263 0.256
O84 O 0.585 0.934 0.920
O85 O 0.602 0.080 0.256
O86 O 0.603 0.923 0.233
O87 O 0.613 0.415 0.586
O88 O 0.613 0.587 0.904
O89 O 0.615 0.747 0.632
O90 O 0.618 0.253 0.578
O91 O 0.618 0.927 0.525
O92 O 0.619 0.262 0.858
O93 O 0.620 0.749 0.914
O94 O 0.624 0.081 0.965
O95 O 0.625 0.594 0.190
O96 O 0.632 0.411 0.297
O97 O 0.683 0.182 0.069
O98 O 0.685 0.518 0.410
O99 O 0.685 0.847 0.738
O100 O 0.686 0.176 0.358
O101 O 0.687 0.488 0.086
O102 O 0.688 0.827 0.132
O103 O 0.689 0.159 0.752
O104 O 0.691 0.822 0.421
O105 O 0.699 0.151 0.466
O106 O 0.700 0.848 0.024
O107 O 0.703 0.481 0.798
O108 O 0.704 0.522 0.692
O109 O 0.797 0.022 0.192
O110 O 0.799 0.981 0.297
O111 O 0.805 0.347 0.525
O112 O 0.805 0.652 0.965
O113 O 0.811 0.321 0.922
O114 O 0.815 0.988 0.586
O115 O 0.816 0.326 0.633
O116 O 0.817 0.663 0.249
O117 O 0.817 0.676 0.857
O118 O 0.817 0.684 0.571
O119 O 0.819 0.341 0.234
O120 O 0.823 0.016 0.904
O121 O 0.880 0.092 0.691
O122 O 0.882 0.249 0.414
O123 O 0.883 0.245 0.131
O124 O 0.883 0.428 0.025
O125 O 0.883 0.916 0.798
O126 O 0.885 0.762 0.358
O127 O 0.886 0.753 0.077
O128 O 0.890 0.087 0.404
O129 O 0.891 0.583 0.466
O130 O 0.891 0.916 0.085
O131 O 0.899 0.422 0.734
O132 O 0.900 0.580 0.756
O133 O 0.920 0.099 0.084
O134 O 0.920 0.563 0.358
O135 O 0.921 0.766 0.758
O136 O 0.922 0.431 0.132
O137 O 0.926 0.229 0.024
O138 O 0.926 0.436 0.421
O139 O 0.928 0.103 0.798
O140 O 0.929 0.766 0.466
O141 O 0.929 0.891 0.692
O142 O 0.932 0.236 0.737
O143 O 0.932 0.568 0.078
O144 O 0.934 0.901 0.410
# DFT formation energy: -2.09 eV per atom